Material: Tb2In
Method: DFT, r2SCAN
State: optimized geometry

As for the volume: 169.95 Å³ per cell. Its total energy is -173.00 eV per cell.

Structure (CIF):
```
data_Tb2In
_chemical_formula_sum 'Tb4 In2'
_symmetry_space_group_name_H-M 'P 63/m m c'
_symmetry_Int_Tables_number 194
_symmetry_space_group_name_Hall '-P 6c 2c'
_cell_length_a 5.3956
_cell_length_b 5.3956
_cell_length_c 6.7408
_cell_angle_alpha 90.00
_cell_angle_beta 90.00
_cell_angle_gamma 120.00
loop_
_atom_site_label
_atom_site_type_symbol
_atom_site_fract_x
_atom_site_fract_y
_atom_site_fract_z
Tb1 Tb 0.0000 0.0000 0.0000
Tb2 Tb 0.3333 0.6667 0.2500
In1 In 0.3333 0.6667 0.7500
```